[1]
r²SCAN BaRuO5, relaxed; formation energy from the elements = -1.4189 eV/atom; total energy = -91.72 eV per formula unit; mass density = 4.52 Mg/m³; M_tot = 0.00 Bohr magnetons per cell; volume = 701 Å³ per cell
1.0
4.811 2.777 8.748
-4.811 2.777 8.748
0.000 -5.555 8.748
Ba Ru O
6 6 30
Cartesian
0.000 0.000 0.000
0.000 0.000 4.296
0.000 0.000 8.826
0.000 0.000 13.123
0.000 0.000 17.419
0.000 0.000 21.949
-3.108 0.172 10.936
-1.703 -2.606 15.310
1.405 -2.777 10.936
-1.405 2.777 15.310
1.703 2.606 10.936
3.108 -0.172 15.310
-0.155 -3.869 6.578
-3.273 2.069 6.578
-0.822 -1.424 6.561
-2.663 0.883 9.384
-2.148 -1.895 13.758
-1.537 -0.709 10.952
-2.715 0.913 12.487
-0.822 1.424 6.561
0.567 -2.748 9.384
-3.428 -1.800 19.668
-2.096 -1.865 16.861
0.567 -2.807 12.487
1.644 0.000 6.561
-0.155 -1.686 15.294
-1.382 0.977 15.294
1.382 -0.977 10.952
0.155 1.686 10.952
-1.644 0.000 19.684
-0.567 2.807 13.758
2.096 1.865 9.384
3.428 1.800 6.578
-0.567 2.748 16.861
0.822 -1.424 19.684
2.715 -0.913 13.758
1.537 0.709 15.294
2.148 1.895 12.487
2.663 -0.883 16.861
0.822 1.424 19.684
3.273 -2.069 19.668
0.155 3.869 19.668

---

[2]
r²SCAN Er2Ga9Ru3, relaxed; formation energy from the elements = -0.5799 eV/atom; total energy = -255.23 eV per formula unit; mass density = 9.17 Mg/m³; M_tot = 0.00 Bohr magnetons per cell; volume = 458 Å³ per cell
1.0
6.348 -3.748 0.000
6.348 3.748 0.000
0.000 0.000 9.626
Er Ga Ru
4 18 6
Cartesian
4.302 2.525 7.220
8.394 2.525 7.220
4.302 -2.525 2.407
8.394 -2.525 2.407
4.270 2.437 0.744
4.270 2.437 4.069
6.348 2.751 2.407
8.426 2.437 0.744
8.426 2.437 4.069
6.348 1.210 5.427
6.348 1.210 9.013
4.980 0.394 2.407
4.980 -0.394 7.220
7.716 0.394 2.407
7.716 -0.394 7.220
6.348 -1.210 0.614
6.348 -1.210 4.200
4.270 -2.437 5.557
4.270 -2.437 8.882
6.348 -2.751 7.220
8.426 -2.437 5.557
8.426 -2.437 8.882
0.000 0.000 0.000
0.000 0.000 4.813
4.099 0.000 0.000
4.099 0.000 4.813
8.597 0.000 0.000
8.597 0.000 4.813